1.
22
Lattice="-4.4917 -0.1711 2.3910 1.7615 7.5241 0.3291 -2.8712 0.9136 -5.3358" Properties=species:S:1:pos:R:3 comment="Li3V2O4F2, relaxed, DFT PBE with a Hubbard U" ef_ev_per_atom=-2.70 spacegroup=P1 e_above_lowest_polymorph_mev_per_atom=4.8 e_tot_ev_per_atom=-6.372 pbc="T T T"
O -1.5056 0.9684 0.9527
O -4.3407 1.0305 0.7575
O -2.6896 6.8442 -0.9331
O -1.2692 7.2300 -3.3687
O -2.9197 1.4187 -1.6792
O 0.1533 6.6533 -0.7110
O -5.7621 1.6088 -1.9010
O -4.1045 7.2951 -3.5642
F -5.0415 4.0492 -0.1146
F -3.3887 4.2393 -2.7330
F -2.2033 4.0290 0.1125
F -3.6062 3.5936 2.5530
V -1.1982 7.6641 0.1881
V -1.1146 8.4352 -5.0038
V 0.3211 7.9791 -2.3370
V -4.4113 0.5996 -2.8008
Li -5.0245 3.6283 -3.7134
Li -3.5889 3.1717 -1.0495
Li -1.8625 3.5518 -3.6731
Li -0.5670 4.6447 1.0933
Li -2.0004 5.1001 -1.5709
Li -3.7296 4.7224 1.0524

2.
33
Lattice="5.1318 0.0000 0.0000 2.5344 4.4686 0.0000 2.3381 1.5315 14.8609" Properties=species:S:1:pos:R:3 comment="Li3V2O4F2, relaxed, DFT PBE with a Hubbard U" ef_ev_per_atom=-2.67 spacegroup=P-1 e_above_lowest_polymorph_mev_per_atom=26.7 e_tot_ev_per_atom=-6.350 pbc="T T T"
O 3.0637 2.2249 1.3895
O 6.1687 5.2579 11.3724
O 5.4810 0.7159 1.4005
O 6.9406 3.7752 13.4714
O 3.8214 3.7409 3.4904
O 6.1829 2.2592 11.3705
O 6.2521 2.2440 3.5064
O 4.5444 2.2369 13.4570
O 4.5234 5.2842 13.4604
O 5.4600 3.7632 1.4039
O 3.7523 3.7561 11.3545
O 3.8357 0.7422 3.4885
Li 3.6452 3.7033 7.4276
Li 6.1755 2.2740 14.8598
Li 3.8288 3.7261 0.0012
Li 4.5431 5.2358 9.5197
Li 5.4354 3.7352 5.3433
Li 6.3591 2.2968 7.4333
Li 3.7349 0.7657 7.4305
Li 4.5689 2.2649 9.5176
Li 5.4612 0.7643 5.3412
F 8.0211 5.3457 8.6142
F 2.9111 2.1624 8.5712
F 1.9832 0.6545 6.2467
F 7.0932 3.8377 6.2897
F 5.2907 3.7544 8.6078
F 4.7136 2.2457 6.2532
V 2.7914 2.2972 12.3762
V 7.9132 5.2235 12.3744
V 4.6545 2.2411 2.5075
V 7.2129 3.7029 2.4847
V 2.0911 0.7766 2.4865
V 5.3499 3.7590 12.3534

3.
27
Lattice="1.4575 -5.3333 -0.0601 -3.0511 -1.4030 -6.8936 8.8905 -0.0169 0.0445" Properties=species:S:1:pos:R:3 comment="LiV2OF5, relaxed, DFT PBE with a Hubbard U" ef_ev_per_atom=-3.03 spacegroup=P1 e_above_lowest_polymorph_mev_per_atom=30.1 e_tot_ev_per_atom=-6.165 pbc="T T T"
F -0.0493 -1.4836 -4.5253
F 4.5680 -5.4878 -2.1105
F 0.0451 -4.2429 -4.3560
F 8.8930 -4.0059 -0.0266
F 1.2110 -2.8564 -6.5788
F 1.5438 -2.4795 -2.5544
F 6.1365 -3.8816 -0.3020
F 1.3192 -5.5016 -2.1569
F 7.3259 -5.3062 -2.3209
F 4.6386 -3.0226 -6.7625
F 6.0509 -1.3230 -4.8691
F 2.6410 -1.1463 -4.6801
F 2.7253 -3.7636 -0.2713
F 5.7473 -4.1926 -4.3605
F 4.3250 -2.7466 -2.2199
Li -1.5425 -3.2857 -5.0192
Li 2.9951 -5.4721 -3.2356
Li 8.7411 -2.6416 -1.4262
O 1.4852 -1.2493 -0.1457
O 7.1382 -2.5262 -2.6219
O 2.9258 -4.0079 -4.7134
V 7.2802 -0.8108 -3.3671
V 2.9126 -1.9470 -1.0306
V 5.9210 -3.9150 -2.2889
V 4.2744 -4.7189 -5.7040
V 0.0832 -0.0365 -0.0158
V 1.5299 -2.8373 -4.6041

4.
28
Lattice="4.2370 -4.2151 0.0631 4.2370 0.0632 -4.2156 4.2313 4.0837 8.3628" Properties=species:S:1:pos:R:3 comment="Li3V3O5F3, relaxed, DFT PBE with a Hubbard U" ef_ev_per_atom=-2.72 e_above_lowest_polymorph_mev_per_atom=0.0 e_tot_ev_per_atom=-6.547 pbc="T T T"
O 7.4885 -0.9800 3.2970
O 5.3933 0.9603 3.1934
O 3.2531 -0.9144 -0.9157
O 5.3962 -0.9555 -3.1879
O 7.4289 -3.1064 -3.1078
O 9.6288 -1.0214 1.0230
O 7.4573 -1.1172 -1.1177
O 5.3964 -3.1871 -0.9558
O 7.4250 1.0434 1.0428
O 7.4556 3.0327 3.0329
V 7.3593 -1.1716 5.2107
V 3.1274 -1.1060 0.9983
V 7.3593 0.9321 3.1071
V 4.2781 -0.0907 4.1882
V 7.3648 -3.2171 -1.0423
V 4.2763 4.0588 8.3382
F 5.1629 -1.0006 1.0441
F 7.4601 0.9397 5.2176
F 3.2262 1.0051 1.0043
F 5.1586 3.1491 5.1938
F 9.3956 0.9766 3.2139
F 5.1629 1.0419 -0.9996
Li 6.3181 -2.0756 2.2030
Li 6.3150 2.0743 6.3534
Li 9.5369 0.9688 5.2475
Li 9.4925 -1.1146 3.1638
Li 5.3018 1.0340 1.0341
Li 5.2578 -1.0494 -1.0496

5.
27
Lattice="2.6210 11.3054 0.0000 -2.6210 11.3054 0.0000 0.0000 0.9308 5.5226" Properties=species:S:1:pos:R:3 comment="LiV2OF5, relaxed, DFT PBE with a Hubbard U" ef_ev_per_atom=-3.01 spacegroup=P1 e_above_lowest_polymorph_mev_per_atom=54.8 e_tot_ev_per_atom=-6.141 pbc="T T T"
F 0.5993 17.4039 5.2827
F 0.6187 14.2369 3.9741
F 0.5993 6.1377 0.2399
F 1.3161 13.8525 1.2635
F 1.2678 6.5867 3.0533
F 1.6168 11.3054 0.0000
F 0.6187 9.3047 1.5485
F -1.4979 12.8182 0.6934
F 1.2474 16.8581 2.5013
F 1.3161 9.6891 4.2591
F -1.4705 10.6417 4.8924
F -2.1804 13.2507 3.4081
F 0.1020 18.9681 1.0721
F -2.1804 10.2908 2.1145
F 0.1020 4.5735 4.4505
V -0.4186 20.7291 0.4702
V -0.4659 16.9675 1.4061
V -0.4659 6.5741 4.1166
V -0.4294 13.5019 2.3337
V -0.4186 2.8125 5.0524
V -0.4294 10.0397 3.1890
Li -0.3004 4.0485 2.1810
Li 2.0477 11.7708 2.7613
Li -0.3004 19.4930 3.3416
O -1.0463 8.2688 3.6344
O -1.0463 15.2728 1.8883
O 0.1356 11.7708 2.7613

6.
44
Lattice="5.9243 0.0000 0.0000 0.0000 5.1969 0.0000 0.0000 0.0823 14.9222" Properties=species:S:1:pos:R:3 comment="Li3V2O4F2, relaxed, DFT PBE with a Hubbard U" ef_ev_per_atom=-2.65 spacegroup=P2/m e_above_lowest_polymorph_mev_per_atom=49.9 e_tot_ev_per_atom=-6.327 pbc="T T T"
Li 4.5696 2.5984 0.0000
Li 2.9621 0.0412 7.4611
Li 4.4900 2.6396 7.4611
Li 1.4977 0.8715 13.0157
Li 1.3547 2.5984 0.0000
Li 2.9621 3.6754 12.9899
Li 1.4977 4.4077 1.9065
Li 0.0000 0.0000 0.0000
Li 2.9621 1.6038 1.9323
Li 4.4265 4.4077 1.9065
Li 1.4342 2.6396 7.4611
Li 4.4265 0.8715 13.0157
O 4.3597 4.3469 6.0654
O 4.3983 2.6286 4.0373
O 1.5260 2.6286 4.0373
O 2.9621 5.2078 3.9723
O 4.3983 2.6506 10.8849
O 2.9621 1.7326 6.0870
O 0.0000 0.0324 3.9706
O 4.3597 0.9323 8.8569
O 0.0000 3.4496 8.8093
O 1.5260 2.6506 10.8849
O 1.5646 0.9323 8.8569
O 2.9621 3.5466 8.8352
O 1.5646 4.3469 6.0654
O 0.0000 1.8296 6.1129
O 2.9621 0.0714 10.9499
O 0.0000 5.2467 10.9517
F 2.9621 1.9136 13.5575
F 4.4707 4.3793 13.7270
F 2.9621 3.3656 1.3647
F 4.4707 0.8999 1.1952
F 0.0000 1.6905 13.7814
F 1.4536 0.8999 1.1952
F 0.0000 3.5887 1.1408
F 1.4536 4.3793 13.7270
V 0.0000 1.7545 9.9124
V 2.9621 3.4995 4.9303
V 4.5040 0.8868 4.9864
V 4.5040 4.3923 9.9358
V 0.0000 3.5247 5.0099
V 1.4202 4.3923 9.9358
V 1.4202 0.8868 4.9864
V 2.9621 1.7797 9.9920

7.
17
Lattice="-1.7224 4.3312 -2.4684 2.4745 3.1771 3.8456 6.4603 0.4111 -3.7832" Properties=species:S:1:pos:R:3 comment="LiV4OF11, relaxed, DFT PBE with a Hubbard U" ef_ev_per_atom=-3.09 spacegroup=P2 e_above_lowest_polymorph_mev_per_atom=30.0 e_tot_ev_per_atom=-6.132 pbc="T T T"
F -0.3792 3.6659 -1.2024
F 1.4149 0.6069 -1.2331
F 6.5239 2.1493 -2.7559
F 5.0367 3.1637 0.0610
F 3.6694 5.7877 -0.3035
F 0.6087 5.7555 0.4594
F 7.5875 4.2177 -1.1968
F 5.7865 7.3402 -1.1889
F 3.5674 2.1158 -2.0805
F 2.2804 4.7088 -2.5419
F 2.1491 3.4578 -0.0296
V 3.6547 3.9945 -1.2654
V -1.6980 4.3294 -2.4800
V 1.4862 4.5319 -4.3444
V 6.7607 4.1996 -3.0718
Li 4.3899 6.1539 -3.3404
O 5.0674 4.4487 -2.3685

8.
40
Lattice="5.4758 0.0000 0.0000 -0.0611 8.9727 0.0000 -0.0354 -0.0684 10.1293" Properties=species:S:1:pos:R:3 comment="LiVOF2, relaxed, DFT PBE with a Hubbard U" ef_ev_per_atom=-2.90 spacegroup=P1 e_above_lowest_polymorph_mev_per_atom=65.7 e_tot_ev_per_atom=-6.191 pbc="T T T"
F 3.2185 2.1769 6.0041
F 5.1067 2.3043 3.9192
F 3.8146 3.6181 8.7844
F 4.2857 8.2287 3.5979
F 1.6620 5.2776 1.5174
F 3.0510 6.7956 9.0138
F 1.6542 0.7258 3.6799
F 1.0659 5.1457 8.8381
F 0.2927 6.5706 6.1883
F 3.1663 5.1681 6.2658
F 4.4249 3.7417 1.4773
F 0.3834 2.0641 9.0382
F 3.7791 8.1959 6.4092
F 1.0427 0.7757 6.4056
F 3.1445 0.7111 8.9771
F 0.3501 8.1336 8.9751
Li 2.5305 3.7511 2.1299
Li 0.1620 3.6701 8.0325
Li 0.1074 8.2313 7.0478
Li 2.8702 0.6570 7.0522
Li 5.2363 5.2779 2.1481
Li 5.2713 0.6943 2.8890
Li 2.8835 5.1138 8.1896
Li 2.4073 8.1237 2.9726
O 4.9655 0.7696 0.9199
O 4.8910 5.2772 4.0992
O 2.1555 8.2002 0.9284
O 0.3843 3.6172 6.0543
O 2.3445 2.2063 0.9628
O 5.0127 6.7571 0.9374
O 2.2890 3.7083 4.1439
O 2.2311 6.6581 4.2311
V 3.9364 6.8054 4.9758
V 1.2337 6.6317 0.1202
V 1.2824 5.2157 5.0390
V 4.0540 8.1258 0.1144
V 1.3858 0.8517 0.1128
V 1.3856 2.1808 4.9868
V 4.1571 3.7235 5.0236
V 4.0367 2.3415 0.1250

9.
14
Lattice="5.4019 0.0000 0.0000 -2.1498 5.2757 0.0000 -0.7669 -2.2120 6.6334" Properties=species:S:1:pos:R:3 comment="LiVOF4, relaxed, DFT PBE with a Hubbard U" ef_ev_per_atom=-2.83 spacegroup=P-1 e_above_lowest_polymorph_mev_per_atom=18.1 e_tot_ev_per_atom=-5.593 pbc="T T T"
F -0.6066 4.3470 0.3926
F 1.1889 -0.1424 3.4289
F 0.7241 1.5363 0.7209
F -1.5836 2.7833 2.5752
F 4.0688 0.2804 4.0582
F 1.7611 1.5274 5.9125
F 3.0918 -1.2833 6.2408
F 1.2963 3.2061 3.2045
O -2.2381 3.5139 4.9966
O 4.7233 -0.4502 1.6368
V 0.0000 0.0000 0.0000
V -0.3834 -1.1060 3.3167
Li 2.3648 -0.0131 4.9570
Li 0.1204 3.0768 1.6764

10.
22
Lattice="-0.0333 5.2222 0.0666 0.0443 0.0969 7.3217 5.8848 -0.0387 0.0359" Properties=species:S:1:pos:R:3 comment="Li3V2O4F2, relaxed, DFT PBE with a Hubbard U" ef_ev_per_atom=-2.69 spacegroup=P-1 e_above_lowest_polymorph_mev_per_atom=12.9 e_tot_ev_per_atom=-6.364 pbc="T T T"
V 4.4395 2.7191 7.3187
V 0.0451 0.0969 7.3210
V 2.9542 5.2996 7.4052
V 1.4547 2.5612 0.1061
Li 2.9250 1.7052 4.6534
Li 2.9687 3.5739 2.7671
Li 5.8710 3.5688 2.7918
Li 0.0239 1.7130 4.6355
Li 1.4591 4.5378 4.6875
Li 4.4347 0.7412 2.7382
F 2.9309 5.2492 3.7465
F 0.0227 0.0496 3.6611
F 4.4249 2.4751 3.6089
F 1.4703 2.8049 3.8148
O 1.4340 4.2681 1.1023
O 5.8815 3.4607 6.3705
O 1.5204 0.9746 6.2558
O 4.3771 4.3081 1.1682
O 2.8801 3.4759 6.3530
O 0.0150 1.8185 1.0543
O 3.0165 1.8048 1.0709
O 4.4634 1.0124 6.3208

11.
24
Lattice="-3.0090 0.0002 -0.0004 0.0006 -10.0542 0.0713 -1.5033 -2.5641 7.4008" Properties=species:S:1:pos:R:3 comment="Li2VO2F, relaxed, DFT PBE with a Hubbard U" ef_ev_per_atom=-2.57 spacegroup=Cm e_above_lowest_polymorph_mev_per_atom=146.3 e_tot_ev_per_atom=-6.096 pbc="T T T"
O -3.0077 -6.7475 2.6734
O -1.5036 -5.9101 4.7695
O -1.5037 -10.9325 4.7568
O -1.5034 -9.2489 2.6005
O -1.5032 -4.2401 2.6211
O -1.5045 -2.5217 0.0361
O -3.0081 -8.3819 4.9445
O -3.0084 -3.3505 4.8928
F -3.0093 -5.1289 0.0691
F -1.5025 -12.4951 7.4670
F -3.0073 -10.1006 7.4340
F -3.0083 -1.6996 2.5902
Li -1.5029 -4.4339 6.4496
Li -3.0082 -8.3544 1.2258
Li -3.0075 -6.6377 6.3551
Li -1.5048 -0.8900 0.9263
Li -3.0071 -11.7898 6.3128
Li -3.0095 -3.2877 0.9443
Li -1.5046 -5.8122 1.2167
Li -1.5028 -9.2152 6.3117
V -1.5034 -7.6136 3.7293
V -1.5037 -2.6970 3.8107
V -3.0079 -5.0221 3.7587
V -3.0080 -9.9349 3.7993

12.
19
Lattice="1.8479 6.2088 0.0000 -1.8479 6.2088 0.0000 0.0000 1.9953 10.3864" Properties=species:S:1:pos:R:3 comment="Li2V4O5F8, relaxed, DFT PBE with a Hubbard U" ef_ev_per_atom=-2.80 spacegroup=C2/m e_tot_ev_per_atom=-6.293 pbc="T T T"
Li 0.0000 6.4826 6.5929
Li 0.0000 7.9303 3.7934
O 0.0000 4.1026 6.0826
O 0.0000 6.2088 0.0000
O 0.0000 10.3102 4.3038
O 0.0000 4.2402 10.3065
O 0.0000 10.1726 0.0799
F 0.0000 2.3146 3.9115
F 0.0000 10.0409 8.3044
F 0.0000 8.3031 6.2110
F 0.0000 6.1098 4.1753
F 0.0000 12.0982 6.4749
F 0.0000 8.0522 1.9037
F 0.0000 4.3720 2.0819
F 0.0000 6.3607 8.4826
V 0.0000 8.0188 0.0457
V 0.0000 10.1701 6.4159
V 0.0000 4.2428 3.9704
V 0.0000 6.3941 10.3407

no.,spin magnetization (μB per formula unit)
1,1.0
2,3.0
3,4.0
4,5.0
5,4.0
6,3.0
7,8.0
8,2.0
9,0.0
10,1.0
11,2.0
12,4.0